LiAu4Se4Cl4O12 after structural relaxation, computed with GGA-PBE.

abc: 4.7851 10.0958 10.9137
angles: 81.97 87.10 87.20
Last column: nearest neighbours and their distance in Å.
Atoms (fractional coordinates):
Li 0.0000 0.0000 0.0000  3 O 1.92-1.98
Au 0.4095 0.6195 0.7763  3 O 2.04-2.07
Au 0.4245 0.2081 0.9634  4 O 2.07-2.14
Au 0.4626 0.7940 0.1332  3 O 2.04-2.14
Au 0.4678 0.2074 0.4632  2 O 2.02-2.04
Se 0.2091 0.0660 0.2459  3 O 1.75-1.77
Se 0.2470 0.4992 0.0610  3 O 1.74-1.76
Se 0.5663 0.9210 0.8366  3 O 1.73-1.77
Se 0.7205 0.3408 0.6939  3 O 1.73-1.77
Cl 0.1299 0.7210 0.2851  1 Au 2.31
Cl 0.2213 0.0154 0.5249  1 Au 2.32
Cl 0.7181 0.3972 0.4041  1 Au 2.31
Cl 0.7386 0.7026 0.6273  1 Au 2.31
O 0.1077 0.1392 0.0974  1 Se 1.77
O 0.1204 0.5489 0.9141  1 Se 1.74
O 0.3155 0.0380 0.8823  1 Se 1.75, 1 Li 1.95
O 0.3208 0.8011 0.8361  1 Se 1.73
O 0.3864 0.2020 0.2823  1 Se 1.75
O 0.4121 0.4377 0.7155  1 Se 1.75
O 0.5076 0.9721 0.2040  1 Se 1.75
O 0.5099 0.3782 0.0385  1 Se 1.74
O 0.5096 0.6122 0.0710  1 Se 1.76
O 0.5517 0.2082 0.6424  1 Se 1.77
O 0.7278 0.8721 0.9790  1 Se 1.77, 1 Li 1.92
O 0.7688 0.2553 0.8411  1 Se 1.73

Properties
Total magnetic moment, μB/f.u.: 0.00
Crystal system: triclinic
Symmetry: P1 (1)
Excess energy over the best structure of this formula in the dataset, eV per atom: 0.005

---

Sr3In11 after structural relaxation, computed with GGA-PBE.

abc: 9.4779 9.4779 9.4779
angles: 148.75 106.65 81.86
Last column: nearest neighbours and their distance in Å.
Atoms (fractional coordinates):
Sr 0.0000 0.0000 0.0000  12 In 3.70-3.74
Sr 0.3087 0.3087 0.0000  14 In 3.49-3.88
Sr 0.6913 0.6913 0.0000  14 In 3.49-3.88
In 0.0289 0.6571 0.3718  5 In 2.90-3.04
In 0.1277 0.8537 0.2740  6 In 3.02-3.33
In 0.2853 0.6571 0.6282  5 In 2.90-3.04
In 0.3093 0.5000 0.8093  8 In 3.04-3.34
In 0.4203 0.1463 0.2740  6 In 3.02-3.33
In 0.5000 0.0000 0.5000  8 In 3.31-3.34
In 0.5797 0.8537 0.7260  6 In 3.02-3.33
In 0.6907 0.5000 0.1907  8 In 3.04-3.34
In 0.7147 0.3429 0.3718  5 In 2.90-3.04
In 0.8723 0.1463 0.7260  6 In 3.02-3.33
In 0.9711 0.3429 0.6282  5 In 2.90-3.04

Properties
Crystal system: orthorhombic
Symmetry: Immm (71)

---

SiO2 after structural relaxation, computed with GGA-PBE.

abc: 7.4353 7.4353 7.4353
angles: 109.47 109.47 109.47
Last column: nearest neighbours and their distance in Å.
Atoms (fractional coordinates):
Si 0.0000 0.2847 0.5000  4 O 1.60-1.64
Si 0.0000 0.7153 0.5000  4 O 1.60-1.64
Si 0.2153 0.2153 0.2153  4 O 1.60-1.64
Si 0.2847 0.5000 0.0000  4 O 1.60-1.64
Si 0.5000 0.0000 0.2847  4 O 1.60-1.64
Si 0.5000 0.0000 0.7153  4 O 1.60-1.64
Si 0.7153 0.5000 0.0000  4 O 1.60-1.64
Si 0.7847 0.7847 0.7847  4 O 1.60-1.64
O 0.0000 0.0000 0.0000  2 Si 1.60
O 0.0000 0.5000 0.5000  2 Si 1.60
O 0.0747 0.3247 0.7500  2 Si 1.64
O 0.1753 0.2500 0.4253  2 Si 1.64
O 0.2500 0.4253 0.1753  2 Si 1.64
O 0.2500 0.9253 0.6753  2 Si 1.64
O 0.3247 0.7500 0.0747  2 Si 1.64
O 0.4253 0.1753 0.2500  2 Si 1.64
O 0.5000 0.0000 0.5000  2 Si 1.60
O 0.5000 0.5000 0.0000  2 Si 1.60
O 0.5747 0.8247 0.7500  2 Si 1.64
O 0.6753 0.2500 0.9253  2 Si 1.64
O 0.7500 0.0747 0.3247  2 Si 1.64
O 0.7500 0.5747 0.8247  2 Si 1.64
O 0.8247 0.7500 0.5747  2 Si 1.64
O 0.9253 0.6753 0.2500  2 Si 1.64

Properties
Crystal system: cubic
Symmetry: Ia-3 (206)

---

CaTiGeO5 after structural relaxation, computed with GGA-PBE.

abc: 6.7714 8.9659 7.2779
angles: 90.00 114.30 90.00
Last column: nearest neighbours and their distance in Å.
Atoms (fractional coordinates):
Ca 0.2502 0.0751 0.2436  6 O 2.32-2.57
Ca 0.2502 0.4249 0.7436  6 O 2.32-2.57
Ca 0.7498 0.5751 0.2564  6 O 2.32-2.57
Ca 0.7498 0.9249 0.7564  6 O 2.32-2.57
Ti 0.2510 0.7459 0.9857  3 O 1.80-1.99
Ti 0.2510 0.7541 0.4857  3 O 1.80-1.99
Ti 0.7490 0.2459 0.5143  3 O 1.80-1.99
Ti 0.7490 0.2541 0.0143  3 O 1.80-1.99
Ge 0.2486 0.0684 0.7477  4 O 1.77-1.78
Ge 0.2486 0.4316 0.2477  4 O 1.77-1.78
Ge 0.7514 0.5684 0.7523  4 O 1.77-1.78
Ge 0.7514 0.9316 0.2523  4 O 1.77-1.78
O 0.0572 0.1941 0.5802  1 Ge 1.77
O 0.0572 0.3059 0.0802  1 Ge 1.77
O 0.1468 0.5413 0.3929  1 Ge 1.78
O 0.1468 0.9587 0.8929  1 Ge 1.78
O 0.2490 0.6831 0.7502  1 Ti 1.80
O 0.2490 0.8169 0.2502  1 Ti 1.80
O 0.3543 0.5399 0.1050  1 Ge 1.77
O 0.3543 0.9601 0.6050  1 Ge 1.77
O 0.4397 0.1939 0.9160  1 Ge 1.77
O 0.4397 0.3061 0.4160  1 Ge 1.77
O 0.5603 0.6939 0.5840  1 Ge 1.77
O 0.5603 0.8061 0.0840  1 Ge 1.77
O 0.6457 0.0399 0.3950  1 Ge 1.77
O 0.6457 0.4601 0.8950  1 Ge 1.77
O 0.7510 0.1831 0.7498  1 Ti 1.80
O 0.7510 0.3169 0.2498  1 Ti 1.80
O 0.8532 0.0413 0.1071  1 Ge 1.78
O 0.8532 0.4587 0.6071  1 Ge 1.78
O 0.9428 0.6941 0.9198  1 Ge 1.77
O 0.9428 0.8059 0.4198  1 Ge 1.77

Properties
Total magnetic moment, μB/f.u.: 0.00
Crystal system: monoclinic
Symmetry: P2_1/c (14)
Excess energy over the best structure of this formula in the dataset, eV per atom: 0.000

---

LiTi2O4 after structural relaxation, computed with GGA-PBE.

abc: 8.9050 8.9357 10.4520
angles: 89.77 89.93 60.13
Last column: nearest neighbours and their distance in Å.
Atoms (fractional coordinates):
Li 0.0000 0.0000 0.0000  4 O 1.95-2.13
Li 0.9996 0.4918 0.0444  4 O 1.94-2.15
Li 0.2276 0.7143 0.5047  4 O 1.98-2.16
Li 0.3333 0.1594 0.0468  4 O 2.00-2.16
Li 0.3869 0.5553 0.0247  4 O 2.09-2.10
Li 0.5657 0.8691 0.5500  4 O 1.96-2.13
Li 0.5683 0.2199 0.5404  4 O 1.99-2.18
Li 0.6682 0.8312 0.0496  4 O 1.94-2.12
Li 0.8966 0.3762 0.5043  4 O 1.95-2.16
Ti 0.1175 0.7689 0.7803  6 O 1.99-2.03
Ti 0.1184 0.1032 0.7620  6 O 1.95-2.08
Ti 0.1191 0.2697 0.2808  6 O 1.97-2.06
Ti 0.1208 0.6016 0.2701  6 O 2.00-2.09
Ti 0.1221 0.9394 0.2761  6 O 2.02-2.06
Ti 0.1249 0.4372 0.7621  6 O 1.97-2.10
Ti 0.4445 0.9392 0.2787  6 O 1.99-2.05
Ti 0.4446 0.2776 0.2679  6 O 2.01-2.08
Ti 0.4479 0.7714 0.7858  6 O 2.00-2.05
Ti 0.4502 0.4364 0.7680  6 O 2.01-2.04
Ti 0.4512 0.1051 0.7765  6 O 1.96-2.03
Ti 0.4561 0.6050 0.2824  6 O 1.99-2.06
Ti 0.7775 0.4371 0.7862  6 O 1.99-2.07
Ti 0.7824 0.6080 0.2803  6 O 1.99-2.05
Ti 0.7829 0.2722 0.2561  6 O 1.98-2.06
Ti 0.7843 0.1033 0.7708  6 O 2.00-2.07
Ti 0.7900 0.7686 0.7708  6 O 1.96-2.08
Ti 0.7903 0.9342 0.2793  6 O 1.97-2.12
O 0.0042 0.4893 0.3763  3 Ti 1.98-2.08, 1 Li 2.16
O 0.0080 0.6627 0.6746  3 Ti 1.96-2.00
O 0.0090 0.9890 0.6750  3 Ti 1.95-2.03
O 0.0118 0.8228 0.3734  3 Ti 1.97-2.03, 1 Li 2.16
O 0.2191 0.8898 0.8789  3 Ti 2.01-2.05, 1 Li 2.11
O 0.2221 0.3787 0.1608  3 Ti 2.05-2.08, 2 Li 2.08-2.10
O 0.2292 0.2162 0.8721  3 Ti 1.98-2.08, 1 Li 2.00
O 0.2300 0.0542 0.1716  3 Ti 2.00-2.03, 1 Li 2.07
O 0.2313 0.5465 0.8769  3 Ti 1.99-2.06, 1 Li 2.10
O 0.2340 0.7130 0.1733  3 Ti 2.00-2.06, 1 Li 2.09
O 0.3372 0.6636 0.6756  1 Li 1.98, 3 Ti 2.01-2.05
O 0.3385 0.8215 0.3839  3 Ti 1.99-2.05, 1 Li 2.10
O 0.3401 0.4956 0.3775  3 Ti 2.00-2.04, 1 Li 2.16
O 0.3425 0.1610 0.3732  3 Ti 1.98-2.01
O 0.3484 0.3178 0.6654  3 Ti 2.00-2.02, 1 Li 2.15
O 0.3495 0.9858 0.6755  3 Ti 2.00-2.02, 1 Li 2.13
O 0.5524 0.3931 0.1693  3 Ti 2.00-2.03, 1 Li 2.10
O 0.5537 0.5479 0.8811  3 Ti 1.99-2.04, 1 Li 2.09
O 0.5581 0.0443 0.1703  3 Ti 2.03-2.12, 2 Li 2.08-2.16
O 0.5610 0.2159 0.8694  3 Ti 1.96-2.01
O 0.5640 0.7207 0.1771  3 Ti 2.00-2.05, 1 Li 2.12
O 0.5650 0.8834 0.8800  1 Li 1.94, 3 Ti 2.03-2.08
O 0.6662 0.9944 0.6656  3 Ti 2.03-2.07, 2 Li 2.13-2.18
O 0.6691 0.6634 0.6802  3 Ti 1.99-2.07, 1 Li 2.09
O 0.6696 0.1633 0.3654  1 Li 1.99, 3 Ti 1.99-2.06
O 0.6706 0.8287 0.3796  1 Li 1.96, 3 Ti 2.00-2.04
O 0.6739 0.3244 0.6697  3 Ti 2.01-2.07, 1 Li 2.11
O 0.6824 0.4828 0.3742  3 Ti 1.99-2.05, 1 Li 2.14
O 0.8889 0.7142 0.1675  3 Ti 2.02-2.09, 2 Li 2.10-2.15
O 0.8955 0.8850 0.8775  3 Ti 1.99-2.05, 1 Li 2.13
O 0.8981 0.3880 0.1719  3 Ti 1.99-2.05, 1 Li 2.07
O 0.8994 0.0447 0.1709  1 Li 1.95, 3 Ti 1.98-2.04
O 0.8990 0.5482 0.8738  1 Li 1.94, 3 Ti 2.02-2.10
O 0.9002 0.2073 0.8732  3 Ti 2.00-2.05, 1 Li 2.08
O 0.9988 0.1659 0.3706  3 Ti 1.97-2.05, 1 Li 2.15
O 0.9989 0.3308 0.6746  1 Li 1.95, 3 Ti 1.98-2.07

Properties
Total magnetic moment, μB/f.u.: 1.00
Crystal system: triclinic
Symmetry: P1 (1)
Excess energy over the best structure of this formula in the dataset, eV per atom: 0.101

---

BaAlF5 after structural relaxation, computed with GGA-PBE.

abc: 5.3369 9.9154 7.4884
angles: 90.00 90.92 90.00
Last column: nearest neighbours and their distance in Å.
Atoms (fractional coordinates):
Ba 0.0108 0.0000 0.3875  7 F 2.68-2.99
Ba 0.4876 0.6525 0.1385  7 F 2.67-2.92
Ba 0.5124 0.1525 0.8615  7 F 2.67-2.92
Ba 0.9892 0.5000 0.6125  7 F 2.68-2.99
Al 0.0134 0.3714 0.0755  6 F 1.79-1.91
Al 0.4802 0.7675 0.6299  6 F 1.77-1.93
Al 0.5198 0.2675 0.3701  6 F 1.77-1.93
Al 0.9866 0.8714 0.9245  6 F 1.79-1.91
F 0.0096 0.2436 0.9034  1 Al 1.81
F 0.0398 0.4875 0.2571  1 Al 1.79
F 0.2083 0.7590 0.7970  2 Al 1.90-1.93
F 0.2305 0.4669 0.9432  1 Al 1.80
F 0.2475 0.9537 0.0331  1 Al 1.80
F 0.2530 0.7518 0.4483  1 Al 1.81
F 0.2703 0.2662 0.5309  1 Al 1.81
F 0.2874 0.2729 0.1771  2 Al 1.89-1.91
F 0.4496 0.9456 0.6374  1 Al 1.77
F 0.4934 0.5885 0.6577  1 Al 1.79
F 0.5066 0.0885 0.3423  1 Al 1.79
F 0.5504 0.4456 0.3626  1 Al 1.77
F 0.7126 0.7729 0.8229  2 Al 1.89-1.91
F 0.7297 0.7662 0.4691  1 Al 1.81
F 0.7470 0.2518 0.5517  1 Al 1.81
F 0.7525 0.4537 0.9669  1 Al 1.80
F 0.7695 0.9669 0.0568  1 Al 1.80
F 0.7917 0.2590 0.2030  2 Al 1.90-1.93
F 0.9602 0.9875 0.7429  1 Al 1.79
F 0.9904 0.7436 0.0966  1 Al 1.81

Properties
Crystal system: monoclinic
Symmetry: P2_1 (4)
Excess energy over the best structure of this formula in the dataset, eV per atom: 0.013

---

no.,total energy (eV for the cell shown),calculated formation energy (eV per atom)
1,-109.56,-0.882
2,-39.41,-0.291
3,-189.22,-3.235
4,-240.89,-3.049
5,-510.85,-3.145
6,-164.56,-4.030